No. 1
A relaxed structure of Li2Mg, computed with r2SCAN.

The calculation puts the calculated density at 1.0 g/cm³. The raw total energy is -18.0 eV for the cell shown. Its space-group type is Amm2 (38).

Cell lengths 8.0787, 8.0787, 5.0918 Å; angles 90.00, 90.00, 158.12 degrees
With the nearest neighbours (Å) after each atom.
Fractional coordinates of all 6 atoms:
Li 0.0002 0.9998 0.0000  10 Li 3.06-3.11, 2 Mg 3.08
Li 0.3317 0.6683 0.0000  8 Li 3.03-3.10, 4 Mg 3.08
Li 0.6670 0.3330 0.0000  6 Li 3.03-3.07, 6 Mg 3.11-3.12
Li 0.4435 0.5565 0.5000  4 Mg 3.00-3.05, 8 Li 3.07-3.11
Mg 0.1099 0.8901 0.5000  8 Li 3.05-3.11, 4 Mg 3.07-3.12
Mg 0.7811 0.2189 0.5000  8 Li 3.00-3.12, 4 Mg 3.07-3.12


No. 2
A relaxed structure of Sc6Te2Ru, computed with r2SCAN.

The calculation puts the calculated density at 5.2 g/cm³. The raw total energy is -151.7 eV for the cell shown. Its space-group type is P-62m (189).

Cell lengths 7.7435, 7.7435, 3.8513 Å; angles 90.00, 90.00, 120.00 degrees
With the nearest neighbours (Å) after each atom.
Fractional coordinates of all 9 atoms:
Sc 0.2375 0.0000 0.5000  2 Ru 2.66
Sc 0.0000 0.2375 0.5000  2 Ru 2.66
Sc 0.7625 0.7625 0.5000  2 Ru 2.66
Sc 0.6131 0.0000 0.0000  1 Ru 3.00, 4 Te 3.08, 4 Sc 3.25
Sc 0.0000 0.6131 0.0000  1 Ru 3.00, 4 Te 3.08, 4 Sc 3.25
Sc 0.3869 0.3869 0.0000  1 Ru 3.00, 4 Te 3.08, 4 Sc 3.25
Te 0.3333 0.6667 0.5000  9 Sc 3.02-3.08
Te 0.6667 0.3333 0.5000  9 Sc 3.02-3.08
Ru 0.0000 0.0000 0.0000  6 Sc 2.66


No. 3
A relaxed structure of Li2Mg, computed with r2SCAN.

The calculation puts the calculated density at 1.0 g/cm³. The raw total energy is -18.0 eV for the cell shown. Its space-group type is R32 (155).

Cell lengths 5.9275, 5.9275, 5.9275 Å; angles 53.10, 53.10, 53.10 degrees
With the nearest neighbours (Å) after each atom.
Fractional coordinates of all 6 atoms:
Li 0.3320 0.0000 0.6680  8 Li 3.05-3.09, 4 Mg 3.09
Li 0.6680 0.3320 0.0000  8 Li 3.05-3.09, 4 Mg 3.09
Li 0.0000 0.6680 0.3320  8 Li 3.05-3.09, 4 Mg 3.09
Li 0.5000 0.5000 0.5000  6 Mg 3.06, 6 Li 3.09
Mg 0.8329 0.8329 0.8329  9 Li 3.06-3.09, 3 Mg 3.06
Mg 0.1671 0.1671 0.1671  9 Li 3.06-3.09, 3 Mg 3.06


No. 4
A relaxed structure of Ca5P3O12F, computed with r2SCAN.

The calculation puts the calculated density at 3.2 g/cm³. The raw total energy is -411.5 eV for the cell shown. Its space-group type is P6_3 (173).

Cell lengths 9.3619, 9.3619, 6.8787 Å; angles 90.00, 90.00, 120.00 degrees
With the nearest neighbours (Å) after each atom.
Fractional coordinates of all 42 atoms:
Ca 0.6667 0.3333 0.5013  6 O 2.40-2.45
Ca 0.3333 0.6667 0.0013  6 O 2.40-2.45
Ca 0.3333 0.6667 0.4995  6 O 2.40-2.44
Ca 0.6667 0.3333 0.9995  6 O 2.40-2.44
Ca 0.9935 0.2421 0.7507  1 F 2.30, 5 O 2.35-2.48
Ca 0.7579 0.7514 0.7507  1 F 2.30, 5 O 2.35-2.48
Ca 0.2486 0.0065 0.7507  1 F 2.30, 5 O 2.35-2.48
Ca 0.0065 0.7579 0.2507  1 F 2.30, 5 O 2.35-2.48
Ca 0.2421 0.2486 0.2507  1 F 2.30, 5 O 2.35-2.48
Ca 0.7514 0.9935 0.2507  1 F 2.30, 5 O 2.35-2.48
P 0.3685 0.3987 0.7507  4 O 1.53-1.54
P 0.6013 0.9698 0.7507  4 O 1.53-1.54
P 0.0302 0.6315 0.7507  4 O 1.53-1.54
P 0.6315 0.6013 0.2507  4 O 1.53-1.54
P 0.3987 0.0302 0.2507  4 O 1.53-1.54
P 0.9698 0.3685 0.2507  4 O 1.53-1.54
O 0.4844 0.3271 0.7510  1 P 1.53
O 0.6729 0.1573 0.7510  1 P 1.53
O 0.8427 0.5156 0.7510  1 P 1.53
O 0.5156 0.6729 0.2510  1 P 1.53
O 0.3271 0.8427 0.2510  1 P 1.53
O 0.1573 0.4844 0.2510  1 P 1.53
O 0.2557 0.3408 0.5713  1 P 1.54
O 0.6592 0.9149 0.5713  1 P 1.54
O 0.0851 0.7443 0.5713  1 P 1.54
O 0.7443 0.6592 0.0713  1 P 1.54
O 0.3408 0.0851 0.0713  1 P 1.54
O 0.9149 0.2557 0.0713  1 P 1.54
O 0.7434 0.6573 0.4309  1 P 1.54
O 0.3427 0.0861 0.4309  1 P 1.54
O 0.9139 0.2566 0.4309  1 P 1.54
O 0.2566 0.3427 0.9309  1 P 1.54
O 0.6573 0.9139 0.9309  1 P 1.54
O 0.0861 0.7434 0.9309  1 P 1.54
O 0.4667 0.5889 0.7497  1 P 1.54
O 0.4111 0.8778 0.7497  1 P 1.54
O 0.1222 0.5333 0.7497  1 P 1.54
O 0.5333 0.4111 0.2497  1 P 1.54
O 0.5889 0.1222 0.2497  1 P 1.54
O 0.8778 0.4667 0.2497  1 P 1.54
F 0.0000 0.0000 0.7563  3 Ca 2.30
F 0.0000 0.0000 0.2563  3 Ca 2.30


No. 5
A relaxed structure of Sm3Co, computed with r2SCAN.

The calculation puts the calculated density at 7.8 g/cm³. The raw total energy is -410.0 eV for the cell shown. Its space-group type is Pnma (62).

Cell lengths 6.9532, 9.7441, 6.3820 Å; angles 90.00, 90.00, 90.00 degrees
With the nearest neighbours (Å) after each atom.
Fractional coordinates of all 16 atoms:
Sm 0.4518 0.7500 0.1436  2 Co 2.66-2.81
Sm 0.1676 0.0701 0.1802  2 Co 2.75-2.90
Sm 0.1676 0.4299 0.1802  2 Co 2.75-2.90
Sm 0.6676 0.0701 0.3198  2 Co 2.75-2.90
Sm 0.6676 0.4299 0.3198  2 Co 2.75-2.90
Sm 0.9518 0.7500 0.3564  2 Co 2.66-2.81
Sm 0.0482 0.2500 0.6436  2 Co 2.66-2.81
Sm 0.3324 0.5701 0.6802  2 Co 2.75-2.90
Sm 0.3324 0.9299 0.6802  2 Co 2.75-2.90
Sm 0.8324 0.5701 0.8198  2 Co 2.75-2.90
Sm 0.8324 0.9299 0.8198  2 Co 2.75-2.90
Sm 0.5482 0.2500 0.8564  2 Co 2.66-2.81
Co 0.8882 0.2500 0.0486  6 Sm 2.66-2.90
Co 0.3882 0.2500 0.4514  6 Sm 2.66-2.90
Co 0.6118 0.7500 0.5486  6 Sm 2.66-2.90
Co 0.1118 0.7500 0.9514  6 Sm 2.66-2.90


No. 6
A relaxed structure of LiEuH3, computed with r2SCAN.

The calculation puts the calculated density at 5.2 g/cm³. The raw total energy is -54.4 eV for the cell shown. Its space-group type is Pm-3m (221).

Cell lengths 3.7167, 3.7167, 3.7167 Å; angles 90.00, 90.00, 90.00 degrees
With the nearest neighbours (Å) after each atom.
Fractional coordinates of all 5 atoms:
Li 0.5000 0.5000 0.5000  6 H 1.86
Eu 0.0000 0.0000 0.0000  12 H 2.63
H 0.0000 0.5000 0.5000  2 Li 1.86
H 0.5000 0.5000 0.0000  2 Li 1.86
H 0.5000 0.0000 0.5000  2 Li 1.86


No. 7
A relaxed structure of HoCuSn, computed with r2SCAN.

The calculation puts the calculated density at 9.1 g/cm³. The raw total energy is -141.0 eV for the cell shown. Its space-group type is P6_3mc (186).

Cell lengths 4.4918, 4.4918, 7.2486 Å; angles 90.00, 90.00, 120.00 degrees
With the nearest neighbours (Å) after each atom.
Fractional coordinates of all 6 atoms:
Ho 0.0000 0.0000 0.9925  3 Cu 2.88, 3 Sn 3.09
Ho 0.0000 0.0000 0.4925  3 Cu 2.88, 3 Sn 3.09
Cu 0.6667 0.3333 0.3185  4 Sn 2.68-2.93, 3 Ho 2.88
Cu 0.3333 0.6667 0.8185  4 Sn 2.68-2.93, 3 Ho 2.88
Sn 0.6667 0.3333 0.7230  4 Cu 2.68-2.93
Sn 0.3333 0.6667 0.2230  4 Cu 2.68-2.93


No. 8
A relaxed structure of MnBe12, computed with r2SCAN.

The calculation puts the calculated density at 2.5 g/cm³. The raw total energy is -67.6 eV for the cell shown. Its space-group type is I4/mmm (139).

Cell lengths 4.1249, 5.5049, 5.5049 Å; angles 81.91, 67.98, 67.98 degrees
With the nearest neighbours (Å) after each atom.
Fractional coordinates of all 13 atoms:
Mn 0.0000 0.0000 0.0000  20 Be 2.51-2.75
Be 0.0000 0.0000 0.5000  10 Be 2.06-2.20
Be 0.5000 0.0000 0.5000  10 Be 2.06-2.20
Be 0.5000 0.5000 0.0000  10 Be 2.06-2.20
Be 0.0000 0.5000 0.0000  10 Be 2.06-2.20
Be 0.0000 0.3483 0.6517  9 Be 2.19-2.34
Be 0.0000 0.6517 0.3483  9 Be 2.19-2.34
Be 0.6529 0.3478 0.3478  9 Be 2.19-2.33
Be 0.3471 0.6522 0.6522  9 Be 2.19-2.33
Be 0.5000 0.7854 0.2146  10 Be 2.09-2.33
Be 0.5000 0.2146 0.7854  10 Be 2.09-2.33
Be 0.7142 0.7859 0.7859  10 Be 2.09-2.34
Be 0.2858 0.2141 0.2141  10 Be 2.09-2.34


No. 9
A relaxed structure of NdNi, computed with r2SCAN.

The calculation puts the calculated density at 7.8 g/cm³. The raw total energy is -83.9 eV for the cell shown. Its space-group type is Cmcm (63).

Cell lengths 3.8237, 4.3396, 5.5444 Å; angles 90.00, 69.83, 90.00 degrees
With the nearest neighbours (Å) after each atom.
Fractional coordinates of all 4 atoms:
Nd 0.1376 0.7500 0.7247  7 Ni 2.88-3.04
Nd 0.8624 0.2500 0.2753  7 Ni 2.88-3.04
Ni 0.4302 0.7500 0.1397  2 Ni 2.61, 2 Nd 2.88
Ni 0.5698 0.2500 0.8603  2 Ni 2.61, 2 Nd 2.88


No. 10
A relaxed structure of Nd5Ga3, computed with r2SCAN.

The calculation puts the calculated density at 6.8 g/cm³. The raw total energy is -371.3 eV for the cell shown. Its space-group type is I4/mcm (140).

Cell lengths 9.1646, 9.1646, 9.1647 Å; angles 129.10, 129.10, 74.85 degrees
With the nearest neighbours (Å) after each atom.
Fractional coordinates of all 16 atoms:
Nd 0.5000 0.5000 0.0000  4 Ga 3.16
Nd 0.0000 0.0000 0.0000  4 Ga 3.16
Nd 0.5258 0.0258 0.8491  5 Ga 3.18-3.26, 1 Nd 3.39
Nd 0.1767 0.6767 0.1508  5 Ga 3.18-3.26, 1 Nd 3.39
Nd 0.0257 0.1767 0.5001  5 Ga 3.18-3.26, 1 Nd 3.39
Nd 0.6767 0.5257 0.5001  5 Ga 3.18-3.26, 1 Nd 3.39
Nd 0.4742 0.9742 0.1509  5 Ga 3.18-3.26, 1 Nd 3.39
Nd 0.8233 0.3233 0.8492  5 Ga 3.18-3.26, 1 Nd 3.39
Nd 0.9743 0.8233 0.4999  5 Ga 3.18-3.26, 1 Nd 3.39
Nd 0.3233 0.4743 0.4999  5 Ga 3.18-3.26, 1 Nd 3.39
Ga 0.2500 0.2500 0.0000  10 Nd 3.26-3.64
Ga 0.7500 0.7500 0.0000  10 Nd 3.26-3.64
Ga 0.8841 0.3841 0.2682  1 Ga 2.58
Ga 0.1159 0.6159 0.7318  1 Ga 2.58
Ga 0.3840 0.1160 0.5000  1 Ga 2.58
Ga 0.6160 0.8840 0.5000  1 Ga 2.58


No. 11
A relaxed structure of MnZnSe2, computed with r2SCAN.

The calculation puts the calculated density at 4.8 g/cm³. The raw total energy is -55.8 eV for the cell shown. Its space-group type is P3m1 (156).

Cell lengths 4.0849, 4.0849, 6.7188 Å; angles 90.00, 90.00, 120.00 degrees
With the nearest neighbours (Å) after each atom.
Fractional coordinates of all 4 atoms:
Mn 0.3333 0.6667 0.4972  4 Se 2.53-2.55
Zn 0.6667 0.3333 0.9993  4 Se 2.46-2.49
Se 0.3333 0.6667 0.1177  3 Zn 2.49, 1 Mn 2.55
Se 0.6667 0.3333 0.6338  1 Zn 2.46, 3 Mn 2.53


No. 12
A relaxed structure of Eu2B5Os3, computed with r2SCAN.

The calculation puts the calculated density at 10.8 g/cm³. The raw total energy is -277.5 eV for the cell shown. Its space-group type is C2 (5).

Cell lengths 5.7271, 5.7270, 8.0531 Å; angles 57.47, 57.47, 41.55 degrees
With the nearest neighbours (Å) after each atom.
Fractional coordinates of all 10 atoms:
Eu 0.3842 0.9464 0.2343  5 B 2.72-3.01
Eu 0.0536 0.6158 0.7657  5 B 2.72-3.01
B 0.7241 0.2759 0.5000  2 Os 1.97
B 0.0727 0.6365 0.3131  1 B 1.74
B 0.5239 0.5293 0.8798  2 B 1.68-1.74
B 0.3635 0.9273 0.6869  1 B 1.74
B 0.4707 0.4761 0.1203  2 B 1.68-1.74
Os 0.8670 0.3985 0.5956  4 B 1.97-2.15
Os 0.0037 0.9963 0.0000  6 B 2.17-2.24
Os 0.6015 0.1330 0.4044  4 B 1.97-2.15